[1]
VASP calculation (GGA-PBE) on a relaxed Sr11Al4Sn3 crystal.

Unit cell a=17.433 b=17.433 c=17.433 alpha=90.00 beta=90.00 gamma=90.00
Space group Fm-3m (No. 225)
Unique sites:
Sr (0.000, 0.000, 0.000) [4 per cell]
Sr (0.000, 0.000, 0.500) [4 per cell]
Sr (0.000, 0.167, 0.167) [48 per cell]
Sr (0.129, 0.129, 0.371) [32 per cell]
Al (0.195, 0.195, 0.195) [32 per cell]
Sn (0.000, 0.000, 0.283) [24 per cell]


[2]
VASP calculation (GGA-PBE) on a relaxed Sr3Al2Sn2 crystal.

Unit cell a=4.508 b=4.983 c=20.054 alpha=90.00 beta=90.00 gamma=90.00
Space group Immm (No. 71)
Unique sites:
Sr (0.000, 0.000, 0.000) [2 per cell]
Sr (0.000, 0.500, 0.318) [4 per cell]
Al (0.000, 0.000, 0.437) [4 per cell]
Sn (0.000, 0.500, 0.142) [4 per cell]


[3]
VASP calculation (GGA-PBE) on a relaxed Al6SnTe10 crystal.

Unit cell a=14.7098 b=14.7098 c=18.1871 alpha=90.00 beta=90.00 gamma=120.00
Space group P3_121 (No. 152)
Unique sites:
Al (0.0094, 0.9271, 0.4139) [6 per cell]
Al (0.0774, 0.2188, 0.9300) [6 per cell]
Al (0.1168, 0.5234, 0.9333) [6 per cell]
Al (0.1892, 0.4472, 0.4074) [6 per cell]
Al (0.2549, 0.6589, 0.7481) [6 per cell]
Al (0.2560, 0.6780, 0.2503) [6 per cell]
Sn (0.0879, 0.7413, 0.8428) [6 per cell]
Te (0.0000, 0.1566, 0.1667) [3 per cell]
Te (0.0000, 0.7507, 0.6667) [3 per cell]
Te (0.0007, 0.3320, 0.3390) [6 per cell]
Te (0.0340, 0.8989, 0.0611) [6 per cell]
Te (0.0633, 0.5234, 0.7941) [6 per cell]
Te (0.0863, 0.6642, 0.0039) [6 per cell]
Te (0.1277, 0.2737, 0.7912) [6 per cell]
Te (0.1727, 0.5118, 0.1641) [6 per cell]
Te (0.1773, 0.3916, 0.5441) [6 per cell]
Te (0.1969, 0.6322, 0.3928) [6 per cell]
Te (0.2319, 0.6976, 0.6063) [6 per cell]

- Energy with MP2020 corrections: -4.10 eV per atom


no.,final energy (eV per cell),energy relative to the elements (kJ per mole of atoms)
1,-422.5,-39
2,-48.3,-49
3,-393.0,-67